EuInAu | meta-GGA r2SCAN | optimized geometry

Calculated values
Total DFT energy (no corrections), eV per atom: -38.008
Space-group type: Pnma
DFT formation energy, eV per atom: -0.780

The structure in POSCAR format:
```
EuInAu
1.0
7.583 0.000 0.000
0.000 4.719 0.000
0.000 0.000 8.467
Eu In Au
4 4 4
Direct
0.026 0.250 0.184
0.474 0.750 0.684
0.526 0.250 0.316
0.974 0.750 0.816
0.156 0.250 0.565
0.344 0.750 0.065
0.656 0.250 0.935
0.844 0.750 0.435
0.224 0.750 0.384
0.276 0.250 0.884
0.724 0.750 0.116
0.776 0.250 0.616
```